An optimized crystal structure of Mg2Al3Si6, computed with PBE-GGA.

Cell lengths 7.7065, 7.7065, 6.5287 Å; angles 76.68, 76.68, 28.90 degrees
Fractional coordinates of all 11 atoms:
Si 0.6642 0.6642 0.7457
Si 0.2948 0.2948 0.6475
Si 0.5344 0.5344 0.2870
Al 0.0893 0.0893 0.5533
Si 0.4656 0.4656 0.7130
Mg 0.1726 0.1726 0.0726
Si 0.3358 0.3358 0.2543
Al 0.9107 0.9107 0.4467
Si 0.7052 0.7052 0.3525
Mg 0.8274 0.8274 0.9274
Al 0.0000 0.0000 0.0000

Calculated values
Energy relative to the elements, eV per formula unit: 2.78
Total magnetic moment, μB per cell: 0.001
Uncorrected energy, eV for the cell shown: -44.64
Symmetry: C2/m (12)

---

An optimized crystal structure of Mg17Al11Si, computed with PBE-GGA.

Cell lengths 9.1182, 9.1182, 9.0793 Å; angles 70.57, 70.57, 109.48 degrees
Fractional coordinates of all 29 atoms:
Mg 0.0005 0.0005 0.9999
Al 0.3663 0.1861 0.9992
Mg 0.2875 0.6033 0.3973
Mg 0.3151 0.3151 0.2864
Al 0.1808 0.8149 0.1861
Mg 0.6858 0.9993 0.6031
Mg 0.6831 0.3964 0.0018
Mg 0.3964 0.6831 0.0018
Al 0.6347 0.8188 0.3643
Mg 0.3448 0.3448 0.6551
Si 0.8159 0.8159 0.8172
Mg 0.6542 0.9989 0.0003
Mg 0.9993 0.6858 0.6031
Al 0.9993 0.3655 0.8157
Al 0.3655 0.9993 0.8157
Al 0.6371 0.6371 0.1706
Al 0.8149 0.1808 0.1861
Mg 0.9989 0.6542 0.0003
Al 0.9964 0.1797 0.6366
Al 0.8188 0.6347 0.3643
Mg 0.3964 0.9988 0.3173
Mg 0.6033 0.2875 0.3973
Mg 0.6039 0.6039 0.7164
Mg 0.3162 0.7139 0.6840
Mg 0.7139 0.3162 0.6840
Mg 0.0011 0.0011 0.3430
Mg 0.9988 0.3964 0.3173
Al 0.1861 0.3663 0.9992
Al 0.1797 0.9964 0.6366

Calculated values
Energy relative to the elements, eV per formula unit: -0.57
Total magnetic moment, μB per cell: 0.000
Uncorrected energy, eV for the cell shown: -74.47
Symmetry: Cm (8)

---

An optimized crystal structure of Mg16Al12Si, computed with PBE-GGA.

Cell lengths 9.0685, 9.0685, 9.0685 Å; angles 109.24, 109.24, 109.24 degrees
Fractional coordinates of all 29 atoms:
Mg 0.4144 0.7045 0.4144
Al 0.3577 0.3577 0.1690
Mg 0.9971 0.9971 0.3454
Mg 0.3167 0.9973 0.5958
Al 0.8147 0.6314 0.9994
Al 0.1855 0.8083 0.1855
Al 0.1690 0.3577 0.3577
Mg 0.0043 0.0043 0.0043
Mg 0.9973 0.3167 0.5958
Al 0.9994 0.8147 0.6314
Al 0.8083 0.1855 0.1855
Al 0.3577 0.1690 0.3577
Mg 0.7045 0.4144 0.4144
Si 0.7024 0.7024 0.7024
Mg 0.6826 0.2809 0.6826
Mg 0.6826 0.6826 0.2809
Al 0.1855 0.1855 0.8083
Mg 0.3454 0.9971 0.9971
Mg 0.4144 0.4144 0.7045
Mg 0.3167 0.5958 0.9973
Al 0.6314 0.8147 0.9994
Al 0.9994 0.6314 0.8147
Mg 0.9973 0.5958 0.3167
Mg 0.5958 0.3167 0.9973
Mg 0.2809 0.6826 0.6826
Mg 0.5958 0.9973 0.3167
Al 0.8147 0.9994 0.6314
Mg 0.9971 0.3454 0.9971
Al 0.6314 0.9994 0.8147

Calculated values
Energy relative to the elements, eV per formula unit: 0.00
Total magnetic moment, μB per cell: 0.001
Uncorrected energy, eV for the cell shown: -76.05
Symmetry: R3m (160)

---

An optimized crystal structure of MgAl2Si2, computed with PBE-GGA.

Cell lengths 4.0834, 4.0834, 6.6795 Å; angles 90.00, 90.00, 120.00 degrees
Fractional coordinates of all 5 atoms:
Al 0.6667 0.3333 0.3653
Si 0.6667 0.3333 0.7563
Al 0.3333 0.6667 0.6347
Mg 0.0000 0.0000 0.0000
Si 0.3333 0.6667 0.2437

Calculated values
Energy relative to the elements, eV per formula unit: 0.11
Total magnetic moment, μB per cell: 0.001
Uncorrected energy, eV for the cell shown: -19.98
Symmetry: P-3m1 (164)

---

An optimized crystal structure of SmMg16Al12, computed with PBE-GGA.

Cell lengths 8.8670, 9.2934, 9.2934 Å; angles 110.38, 108.54, 108.54 degrees
Fractional coordinates of all 29 atoms:
Mg 0.6129 0.3311 0.0000
Al 0.0011 0.8172 0.6382
Mg 0.6888 0.2945 0.6871
Al 0.1734 0.3630 0.3630
Al 0.8104 0.6370 0.0000
Mg 0.2819 0.6689 0.6689
Al 0.0011 0.6382 0.8172
Al 0.1839 0.8210 0.1828
Al 0.3629 0.3618 0.1790
Mg 0.6129 0.0000 0.3311
Mg 0.3151 0.0000 0.5998
Mg 0.3943 0.7055 0.3927
Al 0.8111 0.1807 0.1807
Al 0.6304 0.0000 0.8193
Al 0.8104 0.0000 0.6370
Mg 0.9946 0.0000 0.3399
Mg 0.6888 0.6871 0.2945
Mg 0.9946 0.3399 0.0000
Al 0.6304 0.8193 0.0000
Mg 0.0016 0.6073 0.3129
Sm 0.3759 0.0000 0.0000
Al 0.1839 0.1828 0.8210
Mg 0.3943 0.3927 0.7055
Mg 0.7153 0.4002 0.4002
Mg 0.0016 0.3129 0.6073
Mg 0.6547 0.6601 0.6601
Al 0.3629 0.1790 0.3618
Mg 0.9959 0.0000 0.0000
Mg 0.3151 0.5998 0.0000

Calculated values
Energy relative to the elements, eV per formula unit: -1.89
Total magnetic moment, μB per cell: 0.004
Uncorrected energy, eV for the cell shown: -77.16
Symmetry: R3m (160)

---

An optimized crystal structure of SmMg16Al12, computed with PBE-GGA.

Cell lengths 9.1408, 9.1408, 9.1408 Å; angles 109.47, 109.47, 109.47 degrees
Fractional coordinates of all 29 atoms:
Mg 0.3195 0.3195 0.7170
Al 0.1822 0.8126 0.8126
Al 0.8178 0.6304 0.6304
Al 0.3696 0.1874 0.0000
Mg 0.3975 0.6805 0.0000
Mg 0.0000 0.3975 0.6805
Mg 0.6805 0.3975 0.0000
Sm 0.0000 0.0000 0.0000
Mg 0.3598 0.3598 0.3598
Al 0.0000 0.3696 0.1874
Al 0.1874 0.0000 0.3696
Mg 0.0000 0.6402 0.0000
Al 0.3696 0.0000 0.1874
Mg 0.3195 0.7170 0.3195
Mg 0.0000 0.0000 0.6402
Al 0.0000 0.1874 0.3696
Al 0.6304 0.8178 0.6304
Mg 0.2830 0.6025 0.6025
Mg 0.7170 0.3195 0.3195
Mg 0.0000 0.6805 0.3975
Mg 0.6402 0.0000 0.0000
Mg 0.6025 0.2830 0.6025
Mg 0.6805 0.0000 0.3975
Mg 0.6025 0.6025 0.2830
Al 0.6304 0.6304 0.8178
Al 0.8126 0.8126 0.1822
Al 0.8126 0.1822 0.8126
Mg 0.3975 0.0000 0.6805
Al 0.1874 0.3696 0.0000

Calculated values
Energy relative to the elements, eV per formula unit: -2.04
Total magnetic moment, μB per cell: 0.001
Uncorrected energy, eV for the cell shown: -77.31
Symmetry: I-43m (217)

---

An optimized crystal structure of Mg14AlSn, computed with PBE-GGA.

Cell lengths 6.3255, 6.3255, 10.3685 Å; angles 90.00, 90.00, 120.00 degrees
Fractional coordinates of all 16 atoms:
Mg 0.3332 0.6665 0.3718
Mg 0.8333 0.6667 0.8758
Mg 0.3332 0.6665 0.8782
Mg 0.8333 0.6667 0.3742
Mg 0.1665 0.8332 0.6250
Mg 0.6666 0.8334 0.1250
Mg 0.6668 0.8332 0.6250
Mg 0.6668 0.3335 0.6250
Mg 0.1668 0.8334 0.1250
Mg 0.3332 0.1668 0.3718
Mg 0.3332 0.1668 0.8782
Mg 0.6666 0.3332 0.1250
Sn 0.1667 0.3333 0.6250
Mg 0.8335 0.1668 0.8782
Mg 0.8335 0.1668 0.3718
Al 0.1667 0.3333 0.1250

Calculated values
Energy relative to the elements, eV per formula unit: -0.46
Total magnetic moment, μB per cell: 0.002
Uncorrected energy, eV for the cell shown: -30.62
Symmetry: P-6m2 (187)

---

An optimized crystal structure of Mg17Al11Sn, computed with PBE-GGA.

Cell lengths 9.1966, 9.1966, 9.1602 Å; angles 70.49, 70.49, 109.24 degrees
Fractional coordinates of all 29 atoms:
Mg 0.6576 0.0072 0.9953
Mg 0.6856 0.3908 0.9983
Al 0.6361 0.8242 0.3695
Mg 0.6839 0.0006 0.6049
Mg 0.9948 0.9948 0.3451
Al 0.8250 0.8250 0.8004
Mg 0.3174 0.7136 0.6830
Al 0.1819 0.8168 0.1837
Mg 0.7136 0.3174 0.6830
Al 0.0016 0.1875 0.6354
Mg 0.2781 0.5997 0.4044
Mg 0.3058 0.3058 0.2872
Sn 0.6295 0.6295 0.1774
Mg 0.6003 0.6003 0.7166
Mg 0.9982 0.3980 0.3163
Mg 0.5997 0.2781 0.4044
Al 0.1845 0.3654 0.0012
Mg 0.3908 0.6856 0.9983
Al 0.3666 0.0025 0.8156
Mg 0.0006 0.6839 0.6049
Al 0.3654 0.1845 0.0012
Al 0.0025 0.3666 0.8156
Al 0.1875 0.0016 0.6354
Mg 0.0072 0.6576 0.9953
Al 0.8242 0.6361 0.3695
Mg 0.3414 0.3414 0.6612
Mg 0.0054 0.0054 0.9970
Mg 0.3980 0.9982 0.3163
Al 0.8168 0.1819 0.1837

Calculated values
Energy relative to the elements, eV per formula unit: -0.82
Total magnetic moment, μB per cell: 0.001
Uncorrected energy, eV for the cell shown: -73.23
Symmetry: Cm (8)

---

An optimized crystal structure of Mg14AlSn, computed with PBE-GGA.

Cell lengths 6.2967, 6.4235, 10.3890 Å; angles 90.00, 90.00, 120.67 degrees
Fractional coordinates of all 16 atoms:
Mg 0.6680 0.3337 0.1250
Sn 0.1660 0.8330 0.1250
Mg 0.3325 0.1695 0.8755
Mg 0.3325 0.6630 0.3745
Al 0.1632 0.3316 0.1250
Mg 0.6664 0.3333 0.6250
Mg 0.1681 0.3340 0.6250
Mg 0.3325 0.6630 0.8755
Mg 0.1681 0.8340 0.6250
Mg 0.8321 0.6661 0.3778
Mg 0.8357 0.1679 0.8756
Mg 0.6680 0.8343 0.1250
Mg 0.6664 0.8331 0.6250
Mg 0.8321 0.6661 0.8722
Mg 0.8357 0.1679 0.3744
Mg 0.3325 0.1695 0.3745

Calculated values
Energy relative to the elements, eV per formula unit: -0.06
Total magnetic moment, μB per cell: 0.000
Uncorrected energy, eV for the cell shown: -30.22
Symmetry: Amm2 (38)

---

An optimized crystal structure of Mg6AlSn, computed with PBE-GGA.

Cell lengths 5.2044, 6.3580, 10.7549 Å; angles 90.00, 90.00, 90.00 degrees
Fractional coordinates of all 16 atoms:
Mg 0.5000 0.7497 0.0835
Mg 0.0000 0.5000 0.1688
Mg 0.5000 0.2503 0.0835
Al 0.5000 0.5000 0.3327
Mg 0.0000 0.2446 0.9162
Sn 0.5000 0.0000 0.3333
Mg 0.5000 0.2497 0.5835
Mg 0.0000 0.0000 0.1658
Mg 0.0000 0.0000 0.6688
Mg 0.0000 0.5000 0.6658
Mg 0.0000 0.2554 0.4162
Mg 0.0000 0.7554 0.9162
Al 0.5000 0.0000 0.8327
Mg 0.5000 0.7503 0.5835
Mg 0.0000 0.7446 0.4162
Sn 0.5000 0.5000 0.8333

Calculated values
Energy relative to the elements, eV per formula unit: -0.16
Total magnetic moment, μB per cell: 0.003
Uncorrected energy, eV for the cell shown: -35.03

---

An optimized crystal structure of MgAl2Sn2, computed with PBE-GGA.

Cell lengths 4.4663, 4.4663, 7.2329 Å; angles 90.00, 90.00, 120.00 degrees
Fractional coordinates of all 5 atoms:
Sn 0.3333 0.6667 0.2318
Al 0.6667 0.3333 0.3748
Al 0.3333 0.6667 0.6252
Sn 0.6667 0.3333 0.7682
Mg 0.0000 0.0000 0.0000

Calculated values
Energy relative to the elements, eV per formula unit: 0.38
Total magnetic moment, μB per cell: 0.001
Uncorrected energy, eV for the cell shown: -16.73
Symmetry: P-3m1 (164)

---

An optimized crystal structure of Mg6AlSn, computed with PBE-GGA.

Cell lengths 5.3082, 6.2112, 10.8205 Å; angles 90.00, 90.00, 90.00 degrees
Fractional coordinates of all 16 atoms:
Mg 0.0000 0.2508 0.5837
Mg 0.5000 0.0000 0.1671
Mg 0.5000 0.7476 0.4152
Sn 0.5000 0.5000 0.1675
Mg 0.0000 0.7508 0.0837
Mg 0.0000 0.5000 0.8326
Mg 0.5000 0.5000 0.6671
Mg 0.0000 0.0000 0.3326
Al 0.0000 0.5000 0.3350
Mg 0.5000 0.7524 0.9152
Mg 0.0000 0.2492 0.0837
Sn 0.5000 0.0000 0.6675
Mg 0.5000 0.2476 0.9152
Mg 0.5000 0.2524 0.4152
Al 0.0000 0.0000 0.8350
Mg 0.0000 0.7492 0.5837

Calculated values
Energy relative to the elements, eV per formula unit: -0.10
Total magnetic moment, μB per cell: 0.002
Uncorrected energy, eV for the cell shown: -34.91

---

An optimized crystal structure of SrMg14Al, computed with PBE-GGA.

Cell lengths 6.5075, 6.4931, 10.5249 Å; angles 90.00, 90.00, 119.93 degrees
Fractional coordinates of all 16 atoms:
Mg 0.6585 0.8195 0.1250
Mg 0.1688 0.8344 0.6250
Mg 0.8245 0.6623 0.3888
Mg 0.6675 0.8383 0.6250
Sr 0.1638 0.8319 0.1250
Mg 0.8371 0.1686 0.8849
Mg 0.8245 0.6623 0.8612
Mg 0.3350 0.1760 0.3838
Mg 0.3350 0.6590 0.8662
Mg 0.3350 0.6590 0.3838
Mg 0.1621 0.3311 0.6250
Mg 0.6675 0.3291 0.6250
Mg 0.3350 0.1760 0.8662
Al 0.1900 0.3450 0.1250
Mg 0.8371 0.1686 0.3651
Mg 0.6585 0.3390 0.1250

Calculated values
Energy relative to the elements, eV per formula unit: 0.51
Total magnetic moment, μB per cell: 0.000
Uncorrected energy, eV for the cell shown: -27.33
Symmetry: Amm2 (38)

---

An optimized crystal structure of SrMg14Al, computed with PBE-GGA.

Cell lengths 6.4999, 6.4999, 10.6223 Å; angles 90.00, 90.00, 120.00 degrees
Fractional coordinates of all 16 atoms:
Sr 0.1667 0.3333 0.6250
Mg 0.3344 0.1656 0.8889
Mg 0.6610 0.8390 0.6250
Mg 0.8333 0.6667 0.3813
Mg 0.8333 0.6667 0.8687
Al 0.1667 0.3333 0.1250
Mg 0.3344 0.6689 0.8889
Mg 0.1780 0.8390 0.6250
Mg 0.8311 0.1656 0.3611
Mg 0.8311 0.1656 0.8889
Mg 0.3344 0.6689 0.3611
Mg 0.6694 0.8306 0.1250
Mg 0.3344 0.1656 0.3611
Mg 0.6694 0.3388 0.1250
Mg 0.6610 0.3220 0.6250
Mg 0.1612 0.8306 0.1250

Calculated values
Energy relative to the elements, eV per formula unit: 0.72
Total magnetic moment, μB per cell: 0.000
Uncorrected energy, eV for the cell shown: -27.12
Symmetry: P-6m2 (187)

---

An optimized crystal structure of SrMg6Al, computed with PBE-GGA.

Cell lengths 5.1440, 6.8017, 11.6079 Å; angles 90.00, 90.00, 90.00 degrees
Fractional coordinates of all 16 atoms:
Mg 0.0000 0.7306 0.5760
Mg 0.0000 0.0000 0.3335
Mg 0.5000 0.0000 0.1635
Mg 0.5000 0.7614 0.9184
Al 0.0000 0.5000 0.3442
Mg 0.5000 0.5000 0.6635
Mg 0.5000 0.7386 0.4184
Al 0.0000 0.0000 0.8442
Mg 0.0000 0.2306 0.0760
Mg 0.0000 0.2694 0.5760
Mg 0.0000 0.5000 0.8335
Mg 0.0000 0.7694 0.0760
Mg 0.5000 0.2614 0.4184
Sr 0.5000 0.0000 0.6700
Sr 0.5000 0.5000 0.1700
Mg 0.5000 0.2386 0.9184

Calculated values
Energy relative to the elements, eV per formula unit: 0.50
Total magnetic moment, μB per cell: 0.006
Uncorrected energy, eV for the cell shown: -29.07

---

An optimized crystal structure of SrMg16Al12, computed with PBE-GGA.

Cell lengths 9.2131, 9.2131, 9.2131 Å; angles 109.47, 109.47, 109.47 degrees
Fractional coordinates of all 29 atoms:
Mg 0.6025 0.2829 0.6025
Mg 0.3616 0.3616 0.3616
Mg 0.6384 0.0000 0.0000
Al 0.6289 0.8176 0.6289
Al 0.0000 0.3711 0.1887
Al 0.8176 0.6289 0.6289
Mg 0.3195 0.3195 0.7171
Mg 0.3195 0.7171 0.3195
Al 0.1887 0.0000 0.3711
Al 0.6289 0.6289 0.8176
Al 0.8113 0.1824 0.8113
Mg 0.7171 0.3195 0.3195
Al 0.1887 0.3711 0.0000
Mg 0.6805 0.0000 0.3975
Al 0.0000 0.1887 0.3711
Al 0.3711 0.0000 0.1887
Sr 0.0000 0.0000 0.0000
Mg 0.3975 0.0000 0.6805
Mg 0.2829 0.6025 0.6025
Mg 0.0000 0.6384 0.0000
Mg 0.0000 0.0000 0.6384
Mg 0.3975 0.6805 0.0000
Mg 0.6025 0.6025 0.2829
Mg 0.0000 0.6805 0.3975
Al 0.8113 0.8113 0.1824
Al 0.1824 0.8113 0.8113
Al 0.3711 0.1887 0.0000
Mg 0.6805 0.3975 0.0000
Mg 0.0000 0.3975 0.6805

Calculated values
Energy relative to the elements, eV per formula unit: -1.15
Total magnetic moment, μB per cell: 0.004
Uncorrected energy, eV for the cell shown: -73.39
Symmetry: I-43m (217)